This record from the Materials Project describes a geometry-optimized KPrEuWO6 structure. The functional is PBE+U.

Computed properties:
- Space group: No. 48
- V: 15.5 Å³/atom
- Formation energy from the elements: -2830 meV/atom
- Corrected total energy (MP2020 scheme): -348.4 eV for the cell shown
- Energy above the lowest structure with this stoichiometry: 0 meV per atom

Cell lengths 8.555, 8.511, 8.511 Å; angles 90.00, 90.00, 90.00 degrees
Element x y z (fractional)
Pr: 0.750 0.750 0.750
K: 0.000 0.500 0.500
Eu: 0.000 0.000 0.000
Pr: 0.250 0.250 0.750
O: 0.770 0.524 0.282
O: 0.977 0.791 0.278
O: 0.280 0.225 0.476
O: 0.523 0.709 0.222
O: 0.270 0.976 0.782
Pr: 0.250 0.750 0.250
O: 0.477 0.291 0.222
O: 0.523 0.291 0.778
O: 0.720 0.225 0.524
K: 0.500 0.000 0.000
O: 0.780 0.725 0.024
O: 0.270 0.024 0.218
O: 0.220 0.725 0.976
W: 0.250 0.750 0.750
O: 0.023 0.791 0.722
O: 0.220 0.275 0.024
W: 0.750 0.250 0.750
O: 0.230 0.524 0.718
W: 0.250 0.250 0.250
O: 0.477 0.709 0.778
O: 0.780 0.275 0.976
O: 0.280 0.775 0.524
Eu: 0.500 0.500 0.500
K: 0.000 0.500 0.000
Eu: 0.000 0.000 0.500
O: 0.730 0.024 0.782
O: 0.977 0.209 0.722
O: 0.720 0.775 0.476
Eu: 0.500 0.500 0.000
O: 0.730 0.976 0.218
K: 0.500 0.000 0.500
Pr: 0.750 0.250 0.250
O: 0.770 0.476 0.718
O: 0.230 0.476 0.282
O: 0.023 0.209 0.278
W: 0.750 0.750 0.250


This record from the Materials Project describes a geometry-optimized LiCoPO4 structure. The functional is PBE+U.

Computed properties:
- Space group: No. 159
- V: 11.5 Å³/atom
- Formation energy from the elements: -2325 meV/atom
- Corrected total energy (MP2020 scheme): -303.0 eV for the cell shown
- Energy above the lowest structure with this stoichiometry: 83 meV per atom

Cell lengths 7.586, 7.586, 9.720 Å; angles 90.00, 90.00, 120.00 degrees
Element x y z (fractional)
Li: 0.056 0.591 0.487
Li: 0.534 0.944 0.487
P: 0.000 0.000 0.501
P: 0.333 0.667 0.770
Li: 0.409 0.466 0.487
O: 0.865 0.085 0.949
Co: 0.949 0.224 0.767
O: 0.623 0.500 0.329
O: 0.779 0.915 0.449
P: 0.667 0.333 0.686
Co: 0.776 0.726 0.767
O: 0.876 0.377 0.329
P: 0.333 0.667 0.186
Co: 0.274 0.051 0.767
O: 0.500 0.124 0.329
Li: 0.944 0.534 0.987
O: 0.667 0.333 0.844
O: 0.446 0.256 0.631
O: 0.377 0.876 0.829
O: 0.221 0.135 0.949
Co: 0.051 0.274 0.267
O: 0.667 0.333 0.112
Co: 0.224 0.949 0.267
O: 0.000 0.000 0.166
O: 0.744 0.191 0.631
O: 0.333 0.667 0.344
P: 0.000 0.000 0.001
O: 0.085 0.865 0.449
P: 0.667 0.333 0.270
O: 0.809 0.554 0.631
O: 0.554 0.809 0.131
O: 0.124 0.500 0.829
Li: 0.591 0.056 0.987
O: 0.256 0.446 0.131
O: 0.500 0.623 0.829
O: 0.333 0.667 0.612
Li: 0.466 0.409 0.987
O: 0.000 0.000 0.666
O: 0.135 0.221 0.449
Co: 0.726 0.776 0.267
O: 0.915 0.779 0.949
O: 0.191 0.744 0.131


This record from the Materials Project describes a geometry-optimized CaV2P2H8O14 structure. The functional is PBE+U.

Computed properties:
- Space group: No. 1
- V: 9.8 Å³/atom
- Formation energy from the elements: -2076 meV/atom
- Corrected total energy (MP2020 scheme): -183.5 eV for the cell shown
- Energy above the lowest structure with this stoichiometry: 25 meV per atom

Cell lengths 6.397, 6.429, 6.668 Å; angles 104.49, 93.61, 89.77 degrees
Element x y z (fractional)
O: 0.331 0.797 0.123
O: 0.010 0.907 0.447
O: 0.784 0.448 0.442
O: 0.524 0.481 0.775
O: 0.165 0.301 0.109
O: 0.322 0.009 0.778
P: 0.330 0.464 0.620
O: 0.828 0.817 0.752
O: 0.861 0.582 0.071
H: 0.971 0.477 0.096
O: 0.856 0.196 0.738
V: 0.829 0.495 0.694
O: 0.351 0.616 0.473
O: 0.649 0.106 0.134
O: 0.140 0.523 0.753
H: 0.660 0.066 0.270
H: 0.787 0.086 0.078
O: 0.308 0.236 0.468
P: 0.833 0.964 0.602
H: 0.187 0.246 0.237
V: 0.321 0.941 0.526
H: 0.164 0.179 0.985
Ca: 0.525 0.466 0.156
H: 0.222 0.733 0.014
H: 0.899 0.716 0.177
O: 0.627 0.936 0.456
H: 0.419 0.885 0.057


This record from the Materials Project describes a geometry-optimized LiCoC2O6 structure. The functional is PBE+U.

Computed properties:
- Space group: No. 1
- V: 9.5 Å³/atom
- Formation energy from the elements: -1761 meV/atom
- Corrected total energy (MP2020 scheme): -299.1 eV for the cell shown
- Energy above the lowest structure with this stoichiometry: 8 meV per atom

Cell lengths 4.618, 14.436, 5.769 Å; angles 82.64, 89.93, 88.69 degrees
Element x y z (fractional)
Li: 0.000 0.500 0.500
C: 0.499 0.127 0.858
O: 0.864 0.306 0.038
C: 0.501 0.874 0.142
O: 0.721 0.121 0.384
O: 0.342 0.195 0.924
O: 0.731 0.622 0.876
O: 0.778 0.629 0.361
O: 0.655 0.306 0.572
Co: 0.500 0.500 0.999
O: 0.270 0.378 0.124
O: 0.223 0.871 0.134
C: 0.000 0.876 0.608
Li: 0.503 0.750 0.749
C: 0.999 0.124 0.393
Li: 0.498 0.250 0.251
O: 0.160 0.553 0.831
C: 0.994 0.377 0.107
O: 0.371 0.056 0.792
O: 0.371 0.555 0.289
O: 0.156 0.055 0.327
O: 0.138 0.694 0.962
O: 0.842 0.447 0.168
O: 0.843 0.945 0.675
Li: 0.000 0.000 0.999
Co: 0.499 0.000 0.500
O: 0.777 0.130 0.866
Co: 0.999 0.250 0.750
O: 0.658 0.805 0.077
C: 0.499 0.374 0.643
O: 0.872 0.805 0.542
C: 0.500 0.626 0.356
O: 0.628 0.945 0.208
Co: 0.002 0.750 0.250
O: 0.343 0.694 0.426
O: 0.126 0.195 0.459
O: 0.630 0.444 0.711
C: 0.008 0.623 0.893
O: 0.221 0.371 0.639
O: 0.278 0.880 0.616


Number 1: final energy -314.14 eV per cell. Number 2: final energy -276.66 eV per cell. Number 3: final energy -170.45 eV per cell. Number 4: final energy -276.05 eV per cell.